This record from the Materials Project describes a relaxed ZnCoSb2O7 crystal. The functional is PBE+U.

a = 14.708 Å, b = 6.602 Å, c = 13.113 Å
α = 74.66°, β = 90.00°, γ = 90.00°
Fractional coordinates of all 88 atoms:
O 0.217 0.413 0.428
O 0.476 0.235 0.736
O 0.650 0.364 0.438
O 0.686 0.037 0.108
O 0.287 0.298 0.699
O 0.463 0.224 0.956
O 0.150 0.636 0.062
O 0.873 0.502 0.230
O 0.373 0.498 0.270
O 0.528 0.826 0.488
O 0.793 0.242 0.752
O 0.713 0.702 0.301
O 0.717 0.587 0.072
O 0.350 0.636 0.562
O 0.970 0.337 0.675
O 0.127 0.498 0.770
O 0.850 0.364 0.938
O 0.866 0.979 0.366
O 0.363 0.634 0.068
O 0.783 0.587 0.572
O 0.634 0.979 0.866
O 0.186 0.963 0.392
O 0.972 0.826 0.988
O 0.024 0.235 0.236
O 0.619 0.003 0.660
O 0.814 0.037 0.608
O 0.637 0.366 0.932
O 0.698 0.934 0.451
O 0.283 0.413 0.928
O 0.137 0.634 0.568
O 0.787 0.702 0.801
O 0.802 0.934 0.951
O 0.537 0.776 0.044
O 0.207 0.758 0.248
O 0.381 0.997 0.340
O 0.863 0.366 0.432
O 0.627 0.502 0.730
O 0.293 0.758 0.748
O 0.707 0.242 0.252
O 0.314 0.963 0.892
O 0.198 0.066 0.049
O 0.028 0.174 0.012
O 0.524 0.765 0.264
O 0.470 0.663 0.825
O 0.134 0.021 0.634
O 0.366 0.021 0.134
O 0.213 0.298 0.199
O 0.472 0.174 0.512
O 0.302 0.066 0.549
O 0.030 0.663 0.325
O 0.119 0.997 0.840
O 0.976 0.765 0.764
O 0.530 0.337 0.175
O 0.963 0.776 0.544
O 0.037 0.224 0.456
O 0.881 0.003 0.160
Zn 0.475 0.059 0.220
Zn 0.025 0.059 0.720
Zn 0.106 0.314 0.103
Zn 0.525 0.941 0.780
Zn 0.894 0.686 0.897
Zn 0.606 0.686 0.397
Zn 0.975 0.941 0.280
Zn 0.394 0.314 0.603
Sb 0.973 0.393 0.331
Sb 0.527 0.393 0.831
Sb 0.237 0.572 0.677
Sb 0.473 0.607 0.169
Sb 0.396 0.922 0.489
Sb 0.168 0.141 0.486
Sb 0.027 0.607 0.669
Sb 0.763 0.428 0.323
Sb 0.332 0.141 0.986
Sb 0.832 0.859 0.514
Sb 0.737 0.428 0.823
Sb 0.896 0.078 0.011
Sb 0.604 0.078 0.511
Sb 0.104 0.922 0.989
Sb 0.668 0.859 0.014
Sb 0.263 0.572 0.177
Co 0.845 0.327 0.601
Co 0.345 0.673 0.899
Co 0.271 0.019 0.252
Co 0.655 0.327 0.101
Co 0.155 0.673 0.399
Co 0.729 0.981 0.748
Co 0.229 0.019 0.752
Co 0.771 0.981 0.248

Calculated values
space-group type = P2_1/c
ΔE_f = -1616 meV per atom
size of the total moment = 0.2727 μB/atom

***

This record from the Materials Project describes a relaxed ScCoO3 crystal. The functional is PBE+U.

a = 5.011 Å, b = 5.446 Å, c = 7.420 Å
α = 90.00°, β = 88.92°, γ = 90.00°
Fractional coordinates of all 20 atoms:
O 0.306 0.679 0.929
O 0.692 0.319 0.430
O 0.857 0.556 0.741
O 0.143 0.444 0.259
O 0.194 0.179 0.571
O 0.694 0.321 0.071
O 0.806 0.821 0.429
O 0.357 0.944 0.241
O 0.192 0.181 0.930
O 0.808 0.819 0.070
O 0.643 0.056 0.759
O 0.308 0.681 0.570
Sc 0.029 0.916 0.752
Sc 0.529 0.584 0.252
Sc 0.471 0.416 0.748
Sc 0.971 0.084 0.248
Co 0.500 0.000 0.500
Co 0.000 0.500 0.000
Co 0.500 0.000 0.000
Co 0.000 0.500 0.500

Calculated values
space-group type = P2_1/c
ΔE_f = -2535 meV per atom
size of the total moment = 0.2000 μB/atom

***

This record from the Materials Project describes a relaxed ScCoO3 crystal. The functional is PBE+U.

a = 3.662 Å, b = 3.662 Å, c = 3.662 Å
α = 90.00°, β = 90.00°, γ = 90.00°
Fractional coordinates of all 5 atoms:
O 0.000 0.500 0.500
O 0.500 0.000 0.500
O 0.500 0.500 0.000
Sc 0.000 0.000 0.000
Co 0.500 0.500 0.500

Calculated values
space-group type = Pm-3m
ΔE_f = -2045 meV per atom
size of the total moment = 0.0001 μB/atom

***

This record from the Materials Project describes a relaxed ScCoO3 crystal. The functional is PBE+U.

a = 5.012 Å, b = 5.410 Å, c = 7.656 Å
α = 90.00°, β = 89.73°, γ = 90.00°
Fractional coordinates of all 20 atoms:
O 0.696 0.317 0.074
O 0.194 0.182 0.930
O 0.694 0.318 0.430
O 0.304 0.683 0.926
O 0.306 0.682 0.570
O 0.645 0.064 0.750
O 0.806 0.818 0.070
O 0.196 0.183 0.574
O 0.804 0.817 0.426
O 0.355 0.936 0.250
O 0.855 0.564 0.750
O 0.145 0.436 0.250
Sc 0.477 0.424 0.748
Sc 0.024 0.924 0.752
Sc 0.976 0.076 0.248
Sc 0.523 0.576 0.252
Co 0.000 0.500 0.500
Co 0.500 0.000 0.500
Co 0.500 0.000 0.000
Co 0.000 0.500 0.000

Calculated values
space-group type = P2_1/c
ΔE_f = -2535 meV per atom
size of the total moment = 0.0000 μB/atom